Material: Ti3Bi4O12
Method: DFT, GGA-PBE
State: optimized geometry

Lattice parameters (Å, degrees): 17.008 17.008 5.496 89.92 89.92 18.37
Positions (direct):
Ti 0.997 0.507 0.519
Ti 0.125 0.632 0.529
Ti 0.373 0.869 0.024
Ti 0.869 0.373 0.524
Ti 0.632 0.125 0.029
Ti 0.507 0.997 0.019
Bi 0.700 0.219 0.460
Bi 0.785 0.288 0.968
Bi 0.219 0.700 0.960
Bi 0.428 0.938 0.475
Bi 0.288 0.785 0.468
Bi 0.563 0.070 0.482
Bi 0.070 0.563 0.982
Bi 0.938 0.428 0.975
O 0.300 0.225 0.768
O 0.364 0.774 0.029
O 0.928 0.824 0.847
O 0.639 0.981 0.072
O 0.501 0.498 0.737
O 0.015 0.374 0.566
O 0.981 0.639 0.572
O 0.327 0.394 0.269
O 0.374 0.015 0.066
O 0.622 0.239 0.039
O 0.658 0.620 0.269
O 0.774 0.364 0.529
O 0.789 0.698 0.846
O 0.164 0.092 0.323
O 0.824 0.928 0.347
O 0.001 0.997 0.733
O 0.620 0.658 0.769
O 0.239 0.622 0.539
O 0.698 0.789 0.346
O 0.498 0.501 0.237
O 0.394 0.327 0.769
O 0.997 0.001 0.233
O 0.092 0.164 0.823
O 0.225 0.300 0.268

SG = No. 9
Excess energy over the best structure of this formula in the dataset = 0.11 eV/f.u.
Formation energy = -2.543 eV/atom
Mass density = 7.76 g/cm³